! Ce2Al2PdPt GGA-PBE optimized geometry; values from VASP
! Electronic total energy, eV/f.u.: -35.89
! Space group: No. 26
&SYSTEM
  ibrav = 0, nat = 12, ntyp = 4
/
ATOMIC_SPECIES
Ce 140.12 Ce.upf
Al 26.98 Al.upf
Pd 106.42 Pd.upf
Pt 195.08 Pt.upf
CELL_PARAMETERS angstrom
4.448 0.000 0.000
0.000 7.213 0.000
0.000 0.000 7.879
ATOMIC_POSITIONS angstrom
Ce 2.224 3.379 4.481
Ce 2.224 6.985 3.398
Ce 0.000 3.811 7.317
Ce 0.000 0.204 0.562
Al 2.224 2.540 1.420
Al 2.224 6.147 6.460
Al 0.000 4.683 2.484
Al 0.000 1.077 5.396
Pd 0.000 5.648 5.031
Pd 0.000 2.042 2.848
Pt 2.224 1.577 6.788
Pt 2.224 5.184 1.091